# 1
Er2AlGe3 | PBE | relaxed

Properties
Energy of formation from the pure elements in meV/atom: -614
Total magnetization in μB/cell: 0.0

POSCAR file:
```
Er2AlGe3
1.0
4.165 0.000 0.000
0.000 6.830 0.000
0.000 0.000 17.640
Ge Al Er
12 4 8
Cartesian
3.124 6.586 11.855
3.124 5.833 14.316
1.041 3.658 3.035
1.041 4.412 5.496
1.041 5.132 9.433
1.041 0.997 3.324
3.124 3.171 14.605
1.041 1.717 17.028
3.124 1.698 8.208
3.124 2.418 12.144
1.041 0.244 5.785
3.124 5.113 0.613
1.041 3.078 7.684
3.124 3.751 9.956
1.041 6.493 1.136
3.124 0.336 16.504
1.041 1.136 14.059
1.041 4.551 12.401
1.041 4.559 16.133
3.124 2.270 1.507
3.124 5.685 7.313
3.124 5.694 3.581
3.124 2.279 5.239
1.041 1.144 10.327
```

---

# 2
HoCo3P2 | PBE | relaxed

Properties
Energy of formation from the pure elements in meV/atom: -943

POSCAR file:
```
HoCo3P2
1.0
3.694 0.000 0.000
0.000 10.548 0.000
0.000 0.000 12.191
Co Ho P
18 6 12
Cartesian
0.000 6.548 3.546
1.847 5.274 8.571
0.000 5.274 12.014
0.000 0.000 3.620
0.000 4.000 3.546
1.847 7.034 12.121
0.000 1.760 0.070
0.000 8.409 6.938
1.847 7.414 5.253
1.847 0.000 0.177
0.000 8.788 0.070
1.847 5.274 1.941
0.000 2.140 6.938
1.847 9.274 8.645
1.847 3.135 5.253
0.000 0.000 10.250
1.847 3.514 12.121
1.847 1.274 8.645
0.000 5.274 6.376
0.000 7.207 9.683
0.000 3.342 9.683
1.847 0.000 5.815
1.847 1.933 2.508
1.847 8.616 2.508
0.000 3.671 1.307
0.000 6.878 1.307
0.000 1.993 4.675
1.847 3.281 7.516
0.000 8.555 4.675
1.847 1.603 10.884
1.847 5.274 4.203
1.847 8.945 10.884
0.000 0.000 7.988
1.847 7.267 7.516
0.000 0.000 1.439
1.847 5.274 10.752
```

---

# 3
Li3CuSiCO7 | PBE | relaxed

Properties
Energy of formation from the pure elements in meV/atom: -2157
Total magnetization in μB/cell: 4.0

POSCAR file:
```
Li3CuSiCO7
1.0
-0.433 -3.242 5.465
4.764 0.962 0.948
-1.726 7.139 4.099
O C Cu Li Si
14 2 2 6 2
Cartesian
0.896 2.727 3.545
1.311 4.547 8.368
-0.177 0.608 5.913
-1.540 5.796 5.173
-0.548 3.354 6.072
1.294 0.312 2.143
4.145 -0.937 5.339
1.709 2.132 6.967
1.931 -0.881 5.197
-0.716 2.095 8.195
2.781 4.251 4.598
3.153 1.505 4.440
0.674 5.740 5.315
3.321 2.764 2.317
3.047 -1.482 4.929
-0.443 6.341 5.583
-0.301 4.145 4.291
2.906 0.714 6.220
0.402 0.660 3.984
0.601 2.150 1.473
3.324 0.679 2.522
-0.719 4.180 7.990
2.004 2.710 9.038
2.202 4.199 6.527
2.533 2.874 3.761
0.072 1.985 6.750
```

---

# 4
Hf2Fe | PBE | relaxed

Properties
Energy of formation from the pure elements in meV/atom: -182

POSCAR file:
```
Hf2Fe
1.0
0.000 5.996 5.996
5.996 0.000 5.996
5.996 5.996 0.000
Hf Fe
16 8
Cartesian
1.499 4.497 4.497
8.994 8.994 6.731
8.994 6.731 8.994
5.996 8.259 5.996
6.731 8.994 8.994
8.994 8.994 11.258
8.994 11.258 8.994
1.499 1.499 1.499
5.996 5.996 3.733
5.996 3.733 5.996
3.733 5.996 5.996
5.996 5.996 8.259
4.497 4.497 1.499
11.258 8.994 8.994
8.259 5.996 5.996
4.497 1.499 4.497
7.080 10.909 7.080
10.909 7.080 7.080
7.911 4.082 7.911
10.909 10.909 10.909
4.082 4.082 4.082
4.082 7.911 7.911
7.911 7.911 4.082
7.080 7.080 10.909
```

---

# 5
Li2BiS2 | PBE | relaxed

Properties
Energy of formation from the pure elements in meV/atom: -1031
Total magnetization in μB/cell: 0.0
Excess energy over the best structure of this formula in the dataset in eV/atom: 0.000

POSCAR file:
```
Li2BiS2
1.0
4.545 0.934 5.664
1.961 5.755 4.080
-5.377 -3.912 -3.064
Li S Bi
2 2 1
Cartesian
1.693 1.741 2.536
4.812 4.948 7.208
-0.744 1.912 1.952
1.873 0.864 4.728
0.000 0.000 0.000
```

---

# 6
FeSb | PBE | relaxed

Properties
Energy of formation from the pure elements in meV/atom: -77
Total magnetization in μB/cell: 2.5

POSCAR file:
```
FeSb
1.0
-0.635 1.928 -3.464
1.265 2.030 3.225
4.764 -0.839 -1.341
Sb Fe
2 2
Cartesian
1.189 1.752 -1.570
4.205 1.367 -0.010
2.382 -0.419 -0.670
0.000 0.000 0.000
```

---

# 7
Tb2Re3Si5 | PBE | relaxed

Properties
Energy of formation from the pure elements in meV/atom: -560

POSCAR file:
```
Tb2Re3Si5
1.0
10.991 0.000 0.000
0.000 10.991 0.000
0.000 0.000 5.575
Tb Si Re
8 20 12
Cartesian
2.883 6.341 2.787
6.341 8.108 2.787
2.612 0.845 0.000
4.650 2.883 2.787
8.108 4.650 2.787
8.379 10.146 0.000
10.146 2.612 0.000
0.845 8.379 0.000
0.000 0.000 4.200
3.594 9.090 1.394
0.293 7.529 2.787
5.202 2.033 0.000
7.397 1.901 4.181
0.000 0.000 1.375
10.698 3.463 2.787
2.033 5.789 0.000
5.496 5.496 1.413
9.090 7.397 1.394
3.463 0.293 2.787
3.594 9.090 4.181
7.397 1.901 1.394
1.901 3.594 1.394
5.789 8.958 0.000
7.529 10.698 2.787
8.958 5.202 0.000
1.901 3.594 4.181
5.496 5.496 4.162
9.090 7.397 4.181
6.863 3.880 0.000
4.128 7.111 0.000
9.376 1.367 2.787
3.880 4.128 0.000
7.111 6.863 0.000
0.000 5.496 4.181
5.496 0.000 4.181
1.367 1.615 2.787
1.615 9.624 2.787
0.000 5.496 1.394
9.624 9.376 2.787
5.496 0.000 1.394
```

---

# 8
Mg3B11H9O24 | PBE | relaxed

Properties
Energy of formation from the pure elements in meV/atom: -2189
Total magnetization in μB/cell: 0.0

POSCAR file:
```
Mg3B11H9O24
1.0
9.843 0.000 0.000
0.000 10.334 0.000
0.000 0.000 17.373
H O B Mg
36 96 44 12
Cartesian
5.073 10.314 14.408
2.333 1.444 3.649
6.190 4.789 17.064
8.070 6.888 4.063
8.070 8.612 13.310
9.692 0.019 5.722
6.610 7.750 8.687
2.589 6.611 5.038
3.653 5.544 0.309
7.255 1.444 5.038
5.073 5.186 2.965
2.333 3.723 13.724
7.510 6.611 3.649
2.589 8.889 12.335
1.269 4.789 8.995
3.653 9.956 17.064
6.695 1.722 4.623
8.155 2.583 0.000
3.233 2.583 8.687
1.688 7.750 0.000
4.771 5.147 14.408
0.151 10.314 11.651
1.773 3.445 13.310
4.771 0.019 2.965
6.190 0.378 0.309
6.695 3.445 12.750
1.773 1.722 4.063
1.269 0.378 8.378
9.692 5.147 11.651
3.148 8.612 12.750
7.510 8.889 13.724
3.148 6.888 4.623
8.575 9.956 8.995
8.575 5.544 8.378
7.255 3.723 12.335
0.151 5.186 5.722
7.480 9.257 4.348
0.506 3.133 1.099
4.618 9.433 10.773
5.759 7.349 11.669
9.337 7.201 16.274
0.838 8.151 2.983
0.304 4.266 15.287
1.616 6.311 8.802
5.428 2.034 9.786
1.014 3.932 9.476
2.333 9.905 2.012
8.227 4.022 8.571
2.469 10.066 14.848
7.285 4.090 4.339
4.084 2.984 5.704
4.084 2.182 11.669
2.559 9.257 4.339
5.287 5.473 13.653
1.014 1.234 7.897
7.391 5.435 6.162
2.797 8.800 9.348
0.506 2.034 16.274
5.759 8.151 5.704
8.151 7.733 11.280
4.556 0.307 13.653
9.478 0.307 12.407
1.693 2.601 6.094
7.255 9.905 6.674
4.416 8.300 7.587
2.797 6.700 8.025
2.125 1.534 0.662
6.614 2.566 14.780
3.908 6.401 0.789
7.510 0.429 15.361
2.363 4.090 4.348
6.538 9.189 0.115
1.591 8.466 16.404
9.006 2.182 14.390
3.331 3.300 9.655
8.227 1.145 8.802
2.588 4.738 6.674
7.255 5.595 10.699
7.480 6.244 13.025
0.365 5.473 12.407
2.125 3.633 16.711
0.838 7.349 14.390
2.333 5.595 15.361
8.252 3.300 16.404
9.478 4.860 4.966
9.539 9.433 15.287
2.588 0.429 10.699
9.539 6.067 2.086
7.719 6.700 0.662
5.935 3.932 16.584
1.591 7.034 0.969
5.287 10.027 3.720
9.006 2.984 2.983
6.513 8.466 9.655
5.226 0.901 6.600
2.452 4.899 11.211
0.365 10.027 4.966
3.908 9.099 16.584
4.618 6.067 6.600
5.935 1.234 0.789
6.614 2.601 2.593
8.830 9.099 9.476
6.513 7.034 7.718
4.416 7.201 9.786
8.830 6.401 7.897
2.469 5.435 2.525
5.428 3.133 7.587
3.229 7.768 2.593
3.331 1.867 7.718
2.559 6.244 13.035
7.374 4.899 14.848
8.151 7.768 6.094
7.510 4.738 2.012
5.226 4.266 10.773
7.719 8.800 16.711
3.229 7.733 14.780
7.046 3.633 9.348
1.693 2.566 11.280
6.538 6.311 17.258
3.306 4.022 0.115
7.391 10.066 11.211
4.556 4.860 3.720
9.337 8.300 1.099
7.046 1.534 8.025
2.452 0.268 6.162
8.252 1.867 0.969
2.363 1.077 13.025
0.304 0.901 2.086
7.285 1.077 13.035
1.616 9.189 8.571
3.306 1.145 17.258
7.374 0.268 2.525
7.005 1.538 1.734
1.568 4.587 15.728
8.630 7.750 0.000
2.083 3.629 10.420
7.761 8.796 10.420
7.608 3.543 2.972
7.005 3.629 15.640
2.839 8.796 15.640
6.671 5.504 13.847
6.135 2.583 8.687
2.235 8.710 2.972
1.749 5.504 12.212
0.442 7.413 1.784
5.364 8.087 10.470
2.083 1.538 6.953
6.671 9.997 3.526
6.490 4.587 10.331
7.157 8.710 5.714
2.839 6.705 1.734
7.157 6.790 11.659
1.213 2.583 0.000
0.442 8.087 15.589
4.479 2.246 6.903
3.353 5.747 7.042
3.709 7.750 8.687
1.749 9.997 5.161
8.275 5.747 1.645
4.479 2.921 10.470
9.401 2.246 1.784
2.235 6.790 14.401
2.687 1.623 11.659
8.094 4.830 5.161
8.275 9.754 15.728
2.687 3.543 5.714
3.172 4.830 3.526
6.490 0.580 7.042
3.353 9.754 10.331
3.172 0.337 13.847
5.364 7.413 6.903
7.608 1.623 14.401
9.401 2.921 15.589
8.094 0.337 12.212
7.761 6.705 6.953
1.568 0.580 1.645
9.190 5.898 14.349
5.127 7.750 0.000
4.268 9.603 5.662
4.716 2.583 0.000
0.654 0.731 14.349
9.190 9.603 3.024
9.638 2.583 8.687
4.268 5.898 11.711
0.654 4.436 3.024
0.205 7.750 8.687
5.575 4.436 5.662
5.575 0.731 11.711
```